A plane-wave DFT calculation with PBE was carried out for a relaxed structure of ThB4.

Cell lengths 7.2556, 7.2556, 4.1195 Å; angles 90.00, 90.00, 90.00 degrees
Fractional positions:
Th 0.1860 0.3140 0.0000
Th 0.3140 0.8140 0.0000
Th 0.6860 0.1860 0.0000
Th 0.8140 0.6860 0.0000
B 0.0000 0.0000 0.2011
B 0.0000 0.0000 0.7989
B 0.0389 0.8249 0.5000
B 0.0896 0.5896 0.5000
B 0.1751 0.0389 0.5000
B 0.3249 0.5389 0.5000
B 0.4104 0.0896 0.5000
B 0.4611 0.3249 0.5000
B 0.5000 0.5000 0.2011
B 0.5000 0.5000 0.7989
B 0.5389 0.6751 0.5000
B 0.5896 0.9104 0.5000
B 0.6751 0.4611 0.5000
B 0.8249 0.9611 0.5000
B 0.9104 0.4104 0.5000
B 0.9611 0.1751 0.5000

Energy of formation, eV/atom: -0.62
Symmetry: P4/mbm